1.
A plane-wave DFT calculation with PBE was carried out for crystalline CuBrO2 at its relaxed geometry.

Summary:
**Energy**: -33.0 eV/cell

a = 3.653 Å, b = 6.768 Å, c = 6.874 Å
α = 109.64°, β = 88.91°, γ = 93.28°
Atoms (fractional coordinates):
Cu1 0.505 0.088 0.315
Cu2 0.953 0.755 0.669
Br1 0.434 0.619 0.815
Br2 0.024 0.231 0.177
O1 0.198 0.094 0.546
O2 0.777 0.856 0.320
O3 0.279 0.984 0.661
O4 0.665 0.746 0.436

***

2.
A plane-wave DFT calculation with PBE was carried out for crystalline CuBrO2 at its relaxed geometry.

Summary:
**Energy**: -16.3 eV/cell

a = 6.222 Å, b = 6.222 Å, c = 6.222 Å
α = 29.78°, β = 29.78°, γ = 29.78°
Atoms (fractional coordinates):
Cu1 0.500 0.500 0.500
Br1 0.000 0.000 0.000
O1 0.888 0.888 0.888
O2 0.112 0.112 0.112

***

| no. | formation energy from the elements (eV per atom) |
| --- | --- |
| 1 | -0.295 |
| 2 | -0.521 |